VASP calculation (GGA-PBE) on a relaxed NaCdIn2P3O12 crystal.

abc: 9.1359 9.1359 6.6940
angles: 107.45 107.45 91.62
Positions (direct):
Na 0.0000 0.0000 0.0000
Na 0.0000 0.0000 0.5000
Cd 0.2395 0.7605 0.7500
Cd 0.7605 0.2395 0.2500
In 0.1290 0.4304 0.8688
In 0.4304 0.1290 0.3688
In 0.5696 0.8710 0.6312
In 0.8710 0.5696 0.1312
P 0.1475 0.3656 0.3661
P 0.2128 0.7872 0.2500
P 0.3656 0.1475 0.8661
P 0.6344 0.8525 0.1339
P 0.7872 0.2128 0.7500
P 0.8525 0.6344 0.6339
O 0.0264 0.2281 0.3194
O 0.0465 0.7672 0.2609
O 0.0914 0.4504 0.1874
O 0.1661 0.4899 0.5950
O 0.2281 0.0264 0.8194
O 0.2328 0.9535 0.2391
O 0.2357 0.6718 0.0400
O 0.3046 0.3150 0.3580
O 0.3150 0.3046 0.8580
O 0.3282 0.7643 0.4600
O 0.4504 0.0914 0.6874
O 0.4899 0.1661 0.0950
O 0.5101 0.8339 0.9050
O 0.5496 0.9086 0.3126
O 0.6718 0.2357 0.5400
O 0.6850 0.6954 0.1420
O 0.6954 0.6850 0.6420
O 0.7643 0.3282 0.9600
O 0.7672 0.0465 0.7609
O 0.7719 0.9736 0.1806
O 0.8339 0.5101 0.4050
O 0.9086 0.5496 0.8126
O 0.9535 0.2328 0.7391
O 0.9736 0.7719 0.6806

Calculated values
As for the volume: 504 Å³ per cell. The calculation puts the formation energy from the elements at -2.462 eV/atom. The calculation puts the corrected total energy (MP2020 scheme) at -0.503 Ry per atom.

---

VASP calculation (GGA-PBE) on a relaxed Nd2CdIn crystal.

abc: 5.4829 5.4829 5.4829
angles: 60.00 60.00 60.00
Positions (direct):
Nd 0.2500 0.2500 0.2500
Nd 0.7500 0.7500 0.7500
Cd 0.0000 0.0000 0.0000
In 0.5000 0.5000 0.5000

Calculated values
As for the volume: 117 Å³ per cell. The calculation puts the formation energy from the elements at -0.412 eV/atom.

---

VASP calculation (GGA-PBE) on a relaxed NdCdIn crystal.

abc: 4.9489 4.9489 7.7663
angles: 90.00 90.00 120.00
Positions (direct):
Nd 0.0000 0.0000 0.2386
Nd 0.0000 0.0000 0.7614
Cd 0.3333 0.6667 0.9743
Cd 0.6667 0.3333 0.0257
In 0.3333 0.6667 0.5522
In 0.6667 0.3333 0.4478

Calculated values
As for the volume: 165 Å³ per cell. The calculation puts the formation energy from the elements at -0.425 eV/atom.

---

VASP calculation (GGA-PBE) on a relaxed CdIn2O4 crystal.

abc: 6.5838 6.5838 6.5838
angles: 121.00 119.15 89.88
Positions (direct):
Cd 0.5000 0.0000 0.0000
Cd 0.5000 0.5000 0.5000
In 0.0000 0.0000 0.0000
In 0.1164 0.3664 0.7500
In 0.5000 0.0000 0.5000
In 0.8836 0.6336 0.2500
O 0.2395 0.2347 0.0048
O 0.2480 0.2289 0.4809
O 0.2480 0.7671 0.0191
O 0.2701 0.7653 0.5048
O 0.7299 0.2347 0.4952
O 0.7520 0.2329 0.9809
O 0.7520 0.7711 0.5191
O 0.7605 0.7653 0.9952

Calculated values
As for the volume: 202 Å³ per cell. The energy relative to the lowest polymorph listed for this composition comes out at 0.078 eV per atom. The calculation puts the formation energy from the elements at -1.772 eV/atom. The calculation puts the corrected total energy (MP2020 scheme) at -0.405 Ry per atom.